# PBE+U K2Li2FeO4, relaxed
data_K2Li2FeO4
_cell_length_a 9.1038
_cell_length_b 5.5423
_cell_length_c 11.2190
_cell_angle_alpha 69.27
_cell_angle_beta 90.00
_cell_angle_gamma 90.00
_symmetry_space_group_name_H-M 'P 1'
_symmetry_Int_Tables_number 1
loop_
_symmetry_equiv_pos_as_xyz
'x,y,z'
loop_
_atom_site_label
_atom_site_fract_x
_atom_site_fract_y
_atom_site_fract_z
_atom_site_occupancy
K1 0.7485 0.2332 0.1327 1
K2 0.5006 0.2910 0.3575 1
K3 0.7515 0.2332 0.6327 1
K4 0.0006 0.7090 0.1425 1
K5 0.9994 0.2910 0.8575 1
K6 0.2485 0.7668 0.3673 1
K7 0.4994 0.7090 0.6425 1
K8 0.2515 0.7668 0.8673 1
Li1 0.4867 0.6402 0.0738 1
Li2 0.2466 0.3799 0.1957 1
Li3 0.9867 0.3598 0.4262 1
Li4 0.7466 0.6201 0.3043 1
Li5 0.2534 0.3799 0.6957 1
Li6 0.0133 0.6402 0.5738 1
Li7 0.5133 0.3598 0.9262 1
Li8 0.7534 0.6201 0.8043 1
Fe1 0.2925 0.1094 0.0537 1
Fe2 0.2075 0.1094 0.5537 1
Fe3 0.7925 0.8906 0.4463 1
Fe4 0.7075 0.8906 0.9463 1
O1 0.3092 0.2627 0.8769 1
O2 0.7049 0.2455 0.8789 1
O3 0.9325 0.7199 0.3829 1
O4 0.6212 0.7901 0.4021 1
O5 0.6908 0.7373 0.1231 1
O6 0.2951 0.7545 0.1211 1
O7 0.0675 0.2801 0.6171 1
O8 0.3788 0.2099 0.5979 1
O9 0.7951 0.2455 0.3789 1
O10 0.1908 0.2627 0.3769 1
O11 0.1212 0.2099 0.0979 1
O12 0.4325 0.2801 0.1171 1
O13 0.8788 0.7901 0.9021 1
O14 0.5675 0.7199 0.8829 1
O15 0.8092 0.7373 0.6231 1
O16 0.2049 0.7545 0.6211 1
# - total moment (μB/cell) = 16.00
# - space group = P2_1/c

=====

# PBE+U Li2FeNi3O8, relaxed
data_Li2FeNi3O8
_cell_length_a 5.7221
_cell_length_b 5.8629
_cell_length_c 10.0773
_cell_angle_alpha 74.21
_cell_angle_beta 90.00
_cell_angle_gamma 119.21
_symmetry_space_group_name_H-M 'P 1'
_symmetry_Int_Tables_number 1
loop_
_symmetry_equiv_pos_as_xyz
'x,y,z'
loop_
_atom_site_label
_atom_site_fract_x
_atom_site_fract_y
_atom_site_fract_z
_atom_site_occupancy
Li1 0.4990 0.4980 0.0015 1
Li2 0.0010 0.5019 0.4985 1
Li3 0.0015 0.5031 0.9968 1
Li4 0.4985 0.4969 0.5032 1
Fe1 0.2500 0.0000 0.7500 1
Fe2 0.7500 0.0000 0.2500 1
Ni1 0.2500 0.0000 0.2500 1
Ni2 0.7500 0.0000 0.7500 1
Ni3 0.4974 0.9965 0.0007 1
Ni4 0.0026 0.0035 0.4993 1
Ni5 0.9990 0.9964 0.0007 1
Ni6 0.5010 0.0036 0.4993 1
O1 0.1435 0.7869 0.1020 1
O2 0.6474 0.7947 0.6025 1
O3 0.3566 0.2132 0.3980 1
O4 0.8526 0.2053 0.8975 1
O5 0.6460 0.7919 0.1063 1
O6 0.1486 0.7972 0.6050 1
O7 0.8540 0.2081 0.3937 1
O8 0.3514 0.2028 0.8950 1
O9 0.3878 0.7946 0.3754 1
O10 0.8889 0.7882 0.8767 1
O11 0.9068 0.7946 0.3754 1
O12 0.3993 0.7882 0.8767 1
O13 0.5932 0.2054 0.1246 1
O14 0.1007 0.2118 0.6233 1
O15 0.1122 0.2054 0.1246 1
O16 0.6111 0.2118 0.6233 1
# - total moment (μB/cell) = 1.98
# - space group = C2/m
# - distance to the lowest polymorph of the same formula (meV per atom) = 18

=====

# PBE+U K3NiF6, relaxed
data_K3NiF6
_cell_length_a 6.1905
_cell_length_b 6.1905
_cell_length_c 6.1905
_cell_angle_alpha 60.00
_cell_angle_beta 60.00
_cell_angle_gamma 60.00
_symmetry_space_group_name_H-M 'P 1'
_symmetry_Int_Tables_number 1
loop_
_symmetry_equiv_pos_as_xyz
'x,y,z'
loop_
_atom_site_label
_atom_site_fract_x
_atom_site_fract_y
_atom_site_fract_z
_atom_site_occupancy
K1 0.2500 0.2500 0.2500 1
K2 0.7500 0.7500 0.7500 1
K3 0.5000 0.5000 0.5000 1
Ni1 0.0000 0.0000 0.0000 1
F1 0.2166 0.7834 0.2166 1
F2 0.7834 0.7834 0.2166 1
F3 0.7834 0.2166 0.7834 1
F4 0.7834 0.2166 0.2166 1
F5 0.2166 0.7834 0.7834 1
F6 0.2166 0.2166 0.7834 1
# - total moment (μB/cell) = 1.00
# - space group = Fm-3m

=====

# PBE+U Na3CrP8O23, relaxed
data_Na3CrP8O23
_cell_length_a 12.1445
_cell_length_b 12.1445
_cell_length_c 12.1445
_cell_angle_alpha 90.00
_cell_angle_beta 90.00
_cell_angle_gamma 90.00
_symmetry_space_group_name_H-M 'P 1'
_symmetry_Int_Tables_number 1
loop_
_symmetry_equiv_pos_as_xyz
'x,y,z'
loop_
_atom_site_label
_atom_site_fract_x
_atom_site_fract_y
_atom_site_fract_z
_atom_site_occupancy
Na1 0.3750 0.9557 0.7943 1
Na2 0.8750 0.5443 0.2057 1
Na3 0.0443 0.2943 0.1250 1
Na4 0.9557 0.7943 0.3750 1
Na5 0.2057 0.8750 0.5443 1
Na6 0.2943 0.1250 0.0443 1
Na7 0.4557 0.7057 0.6250 1
Na8 0.7943 0.3750 0.9557 1
Na9 0.7057 0.6250 0.4557 1
Na10 0.5443 0.2057 0.8750 1
Na11 0.6250 0.4557 0.7057 1
Na12 0.1250 0.0443 0.2943 1
Cr1 0.8750 0.1250 0.6250 1
Cr2 0.1250 0.6250 0.8750 1
Cr3 0.6250 0.8750 0.1250 1
Cr4 0.3750 0.3750 0.3750 1
P1 0.0688 0.3606 0.8542 1
P2 0.8958 0.3894 0.6812 1
P3 0.3606 0.8542 0.0688 1
P4 0.8606 0.6458 0.9312 1
P5 0.6394 0.3542 0.4312 1
P6 0.6458 0.9312 0.8606 1
P7 0.4312 0.6394 0.3542 1
P8 0.9312 0.8606 0.6458 1
P9 0.8542 0.0688 0.3606 1
P10 0.6042 0.6106 0.1812 1
P11 0.3542 0.4312 0.6394 1
P12 0.1458 0.5688 0.1394 1
P13 0.8188 0.1042 0.8894 1
P14 0.3958 0.1106 0.3188 1
P15 0.1042 0.8894 0.8188 1
P16 0.6812 0.8958 0.3894 1
P17 0.3188 0.3958 0.1106 1
P18 0.8894 0.8188 0.1042 1
P19 0.3894 0.6812 0.8958 1
P20 0.1394 0.1458 0.5688 1
P21 0.1812 0.6042 0.6106 1
P22 0.1106 0.3188 0.3958 1
P23 0.6106 0.1812 0.6042 1
P24 0.0176 0.0176 0.0176 1
P25 0.2676 0.2324 0.7676 1
P26 0.7676 0.2676 0.2324 1
P27 0.2324 0.7676 0.2676 1
P28 0.4824 0.9824 0.5176 1
P29 0.5176 0.4824 0.9824 1
P30 0.9824 0.5176 0.4824 1
P31 0.7324 0.7324 0.7324 1
P32 0.5688 0.1394 0.1458 1
O1 0.6620 0.6620 0.6620 1
O2 0.9120 0.5880 0.4120 1
O3 0.5880 0.4120 0.9120 1
O4 0.4120 0.9120 0.5880 1
O5 0.1620 0.8380 0.3380 1
O6 0.8380 0.3380 0.1620 1
O7 0.3380 0.1620 0.8380 1
O8 0.0880 0.0880 0.0880 1
O9 0.4370 0.5113 0.6805 1
O10 0.9370 0.9887 0.3195 1
O11 0.5113 0.6805 0.4370 1
O12 0.4887 0.1805 0.0630 1
O13 0.6805 0.4370 0.5113 1
O14 0.8195 0.5630 0.0113 1
O15 0.1870 0.9305 0.7387 1
O16 0.6870 0.5695 0.2613 1
O17 0.8130 0.4305 0.7613 1
O18 0.5695 0.2613 0.6870 1
O19 0.7613 0.8130 0.4305 1
O20 0.2613 0.6870 0.5695 1
O21 0.9305 0.7387 0.1870 1
O22 0.7387 0.1870 0.9305 1
O23 0.4305 0.7613 0.8130 1
O24 0.0695 0.2387 0.3130 1
O25 0.2387 0.3130 0.0695 1
O26 0.3195 0.9370 0.9887 1
O27 0.1805 0.0630 0.4887 1
O28 0.0113 0.8195 0.5630 1
O29 0.9887 0.3195 0.9370 1
O30 0.0630 0.4887 0.1805 1
O31 0.5630 0.0113 0.8195 1
O32 0.3130 0.0695 0.2387 1
O33 0.6250 0.2335 0.4835 1
O34 0.7665 0.9835 0.8750 1
O35 0.7391 0.3267 0.3446 1
O36 0.4835 0.6250 0.2335 1
O37 0.2335 0.4835 0.6250 1
O38 0.5165 0.1250 0.2665 1
O39 0.9835 0.8750 0.7665 1
O40 0.7335 0.0165 0.3750 1
O41 0.2665 0.5165 0.1250 1
O42 0.8750 0.7665 0.9835 1
O43 0.3750 0.7335 0.0165 1
O44 0.1250 0.2665 0.5165 1
O45 0.3267 0.3446 0.7391 1
O46 0.8267 0.1554 0.2609 1
O47 0.3446 0.7391 0.3267 1
O48 0.6554 0.2391 0.1733 1
O49 0.0390 0.1212 0.6367 1
O50 0.2890 0.6133 0.8712 1
O51 0.7890 0.8867 0.1288 1
O52 0.3867 0.3712 0.2110 1
O53 0.6133 0.8712 0.2890 1
O54 0.1288 0.7890 0.8867 1
O55 0.3712 0.2110 0.3867 1
O56 0.6367 0.0390 0.1212 1
O57 0.1212 0.6367 0.0390 1
O58 0.3788 0.3633 0.5390 1
O59 0.1367 0.4610 0.8788 1
O60 0.8788 0.1367 0.4610 1
O61 0.8633 0.9610 0.6212 1
O62 0.3633 0.5390 0.3788 1
O63 0.6212 0.8633 0.9610 1
O64 0.5390 0.3788 0.3633 1
O65 0.9610 0.6212 0.8633 1
O66 0.4610 0.8788 0.1367 1
O67 0.8712 0.2890 0.6133 1
O68 0.6288 0.7110 0.1133 1
O69 0.8867 0.1288 0.7890 1
O70 0.1133 0.6288 0.7110 1
O71 0.2110 0.3867 0.3712 1
O72 0.7110 0.1133 0.6288 1
O73 0.4233 0.0109 0.4054 1
O74 0.6733 0.8446 0.7609 1
O75 0.1733 0.6554 0.2391 1
O76 0.1554 0.2609 0.8267 1
O77 0.8446 0.7609 0.6733 1
O78 0.2391 0.1733 0.6554 1
O79 0.2609 0.8267 0.1554 1
O80 0.4054 0.4233 0.0109 1
O81 0.0109 0.4054 0.4233 1
O82 0.4891 0.5946 0.9233 1
O83 0.9054 0.0767 0.9891 1
O84 0.9891 0.9054 0.0767 1
O85 0.0946 0.5767 0.5109 1
O86 0.5946 0.9233 0.4891 1
O87 0.5109 0.0946 0.5767 1
O88 0.9233 0.4891 0.5946 1
O89 0.5767 0.5109 0.0946 1
O90 0.0767 0.9891 0.9054 1
O91 0.7609 0.6733 0.8446 1
O92 0.0165 0.3750 0.7335 1
# - space group = P4_132

=====

no.,E_form (kJ/mol of formula units),calculated volume (Å³/cell)
1,-1499,529.4
2,-1767,280.4
3,-2488,167.8
4,-8788,1791.2